(1)
First-principles (meta-GGA r2SCAN) data for a relaxed structure of TiS2O8, as listed in Materials Project.

Cell lengths 8.9762, 8.9762, 8.9762 Å; angles 54.44, 54.44, 54.44 degrees
Closest atoms and distances in Å follow each position.
Atoms (fractional coordinates):
Ti: 0.1498 0.1498 0.1498  6 O 1.93-1.98
Ti: 0.6483 0.6483 0.6483  6 O 1.94-1.96
Ti: 0.8471 0.8471 0.8471  6 O 1.91-1.96
S: 0.0439 0.4534 0.7551  4 O 1.40-1.51
S: 0.4534 0.7551 0.0439  4 O 1.40-1.51
S: 0.7551 0.0439 0.4534  4 O 1.40-1.51
S: 0.2503 0.9716 0.5311  4 O 1.41-1.50
S: 0.5311 0.2503 0.9716  4 O 1.41-1.50
S: 0.9716 0.5311 0.2503  4 O 1.41-1.50
O: 0.1377 0.5224 0.2419  1 S 1.41
O: 0.2419 0.1377 0.5224  1 S 1.41
O: 0.0102 0.3288 0.9710  1 S 1.51
O: 0.5224 0.2419 0.1377  1 S 1.41
O: 0.0130 0.6491 0.7270  1 S 1.49
O: 0.2308 0.3670 0.6321  1 S 1.40
O: 0.3670 0.6321 0.2308  1 S 1.40
O: 0.3288 0.9710 0.0102  1 S 1.51
O: 0.6321 0.2308 0.3670  1 S 1.40
O: 0.0625 0.9350 0.6783  1 S 1.50
O: 0.2820 0.9835 0.3417  1 S 1.50
O: 0.3417 0.2820 0.9835  1 S 1.50
O: 0.6491 0.7270 0.0130  1 S 1.49
O: 0.7270 0.0130 0.6491  1 S 1.49
O: 0.9710 0.0102 0.3288  1 S 1.51
O: 0.4110 0.7864 0.5924  1 S 1.49
O: 0.6783 0.0625 0.9350  1 S 1.50
O: 0.5924 0.4110 0.7864  1 S 1.49
O: 0.7864 0.5924 0.4110  1 S 1.49
O: 0.9835 0.3417 0.2820  1 S 1.50
O: 0.4860 0.7288 0.8755  1 S 1.50
O: 0.9350 0.6783 0.0625  1 S 1.50
O: 0.7288 0.8755 0.4860  1 S 1.50
O: 0.8755 0.4860 0.7288  1 S 1.50

Symmetry   R3, No. 146
Crystal system   trigonal
Calculated density   2.69 Mg/m³
Energy of formation   -1.86 eV/atom

=====

(2)
First-principles (meta-GGA r2SCAN) data for a relaxed structure of NaTmPd6O8, as listed in Materials Project.

Cell lengths 5.7446, 5.7446, 5.7446 Å; angles 90.00, 90.00, 90.00 degrees
Closest atoms and distances in Å follow each position.
Atoms (fractional coordinates):
Na: 0.5000 0.5000 0.5000  8 O 2.60
Tm: 0.0000 0.0000 0.0000  8 O 2.37
Pd: 0.2502 0.0000 0.5000  4 O 2.03
Pd: 0.7498 0.0000 0.5000  4 O 2.03
Pd: 0.5000 0.2502 0.0000  4 O 2.03
Pd: 0.5000 0.7498 0.0000  4 O 2.03
Pd: 0.0000 0.5000 0.2502  4 O 2.03
Pd: 0.0000 0.5000 0.7498  4 O 2.03
O: 0.2386 0.2386 0.2386  3 Pd 2.03
O: 0.7614 0.7614 0.7614  3 Pd 2.03
O: 0.7614 0.7614 0.2386  3 Pd 2.03
O: 0.7614 0.2386 0.7614  3 Pd 2.03
O: 0.2386 0.2386 0.7614  3 Pd 2.03
O: 0.2386 0.7614 0.2386  3 Pd 2.03
O: 0.2386 0.7614 0.7614  3 Pd 2.03
O: 0.7614 0.2386 0.2386  3 Pd 2.03

Symmetry   Pm-3, No. 200
Crystal system   cubic
Calculated density   8.40 Mg/m³
Energy of formation   -1.31 eV/atom

=====

(3)
First-principles (meta-GGA r2SCAN) data for a relaxed structure of Nd2TlIn, as listed in Materials Project.

Cell lengths 5.4873, 5.4873, 5.4873 Å; angles 60.00, 60.00, 60.00 degrees
Closest atoms and distances in Å follow each position.
Atoms (fractional coordinates):
Nd: 0.2500 0.2500 0.2500  4 In 3.36, 4 Tl 3.36
Nd: 0.7500 0.7500 0.7500  4 In 3.36, 4 Tl 3.36
Tl: 0.0000 0.0000 0.0000  8 Nd 3.36
In: 0.5000 0.5000 0.5000  8 Nd 3.36

Symmetry   Fm-3m, No. 225
Crystal system   cubic
Calculated density   8.64 Mg/m³
Energy of formation   -0.56 eV/atom

=====

(4)
First-principles (meta-GGA r2SCAN) data for a relaxed structure of MgWF6, as listed in Materials Project.

Cell lengths 5.5228, 5.5228, 5.5228 Å; angles 55.46, 55.46, 55.46 degrees
Closest atoms and distances in Å follow each position.
Atoms (fractional coordinates):
Mg: 0.5000 0.5000 0.5000  6 F 1.98
W: 0.0000 0.0000 0.0000  6 F 1.98
F: 0.6349 0.8654 0.2454  1 Mg 1.98, 1 W 1.98
F: 0.8654 0.2454 0.6349  1 Mg 1.98, 1 W 1.98
F: 0.7546 0.3651 0.1346  1 Mg 1.98, 1 W 1.98
F: 0.1346 0.7546 0.3651  1 Mg 1.98, 1 W 1.98
F: 0.3651 0.1346 0.7546  1 Mg 1.98, 1 W 1.98
F: 0.2454 0.6349 0.8654  1 Mg 1.98, 1 W 1.98

Symmetry   R-3, No. 148
Crystal system   trigonal
Calculated density   5.02 Mg/m³
Energy of formation   -3.02 eV/atom